Record 1
# Li2FeCuP2O8

A relaxed structure of Li2FeCuP2O8 (PBE+U, Materials Project).

```
Li2FeCuP2O8
1.0
4.713 0.000 0.000
0.000 6.048 0.000
-0.225 0.000 10.078
Li Fe Cu P O
4 2 2 4 16
Cartesian
0.000 0.000 0.000
0.000 3.024 0.000
2.244 0.000 5.039
2.244 3.024 5.039
0.037 1.512 2.833
4.452 4.536 7.245
1.938 1.512 7.907
2.551 4.536 2.171
0.290 4.536 4.062
1.779 4.536 9.140
2.709 1.512 0.938
4.199 1.512 6.016
0.896 3.275 3.376
0.896 5.798 3.376
0.857 4.536 5.507
1.041 1.512 6.063
1.184 1.512 0.971
1.112 3.317 8.409
1.112 5.756 8.409
1.432 4.536 0.519
3.057 1.512 9.559
3.377 0.293 1.669
3.377 2.731 1.669
3.305 4.536 9.107
3.448 4.536 4.015
3.632 1.512 4.571
3.593 0.251 6.702
3.593 2.773 6.702
```

Calculated values
ΔH_f (0 K) = -2322 meV/atom
final energy = -6.539 eV/atom
crystal system = monoclinic

Record 2
# SrCaCeCoO6

A relaxed structure of SrCaCeCoO6 (PBE+U, Materials Project).

```
SrCaCeCoO6
1.0
0.000 4.044 4.044
4.044 0.000 4.044
4.044 4.044 0.000
Sr Ca Ce Co O
1 1 1 1 6
Cartesian
0.000 0.000 0.000
4.044 4.044 4.044
2.022 2.022 2.022
6.066 6.066 6.066
6.066 6.066 4.197
6.066 4.197 6.066
7.934 6.066 6.066
4.197 6.066 6.066
6.066 7.934 6.066
6.066 6.066 7.934
```

Calculated values
ΔH_f (0 K) = -2671 meV/atom
final energy = -6.737 eV/atom
crystal system = cubic

Record 3
# Ba2Fe2CuF14

A relaxed structure of Ba2Fe2CuF14 (PBE+U, Materials Project).

```
Ba2Fe2CuF14
1.0
7.110 -2.732 0.000
7.110 2.732 0.000
-0.288 0.000 15.211
Ba Fe Cu F
4 4 2 28
Cartesian
2.535 0.308 2.006
2.391 -0.308 9.611
11.541 0.308 5.600
11.396 -0.308 13.205
1.633 0.080 5.627
1.489 -0.080 13.232
12.443 0.080 1.979
12.299 -0.080 9.584
7.110 0.000 0.000
6.966 0.000 7.605
4.491 1.694 3.318
7.052 2.420 2.317
7.024 2.420 5.288
5.192 1.437 0.715
3.379 0.599 6.320
5.133 1.196 10.742
5.859 1.437 7.894
7.928 1.437 14.922
3.235 -0.599 13.926
9.584 1.694 4.288
8.883 1.437 6.891
6.011 0.287 13.664
8.655 1.196 12.075
6.155 -0.287 6.059
7.776 0.287 9.152
5.277 -1.196 3.136
7.920 -0.287 1.546
5.048 -1.437 8.320
4.347 -1.694 10.923
10.696 0.599 1.285
6.004 -1.437 0.289
8.072 -1.437 7.317
8.799 -1.196 4.469
10.552 -0.599 8.891
8.739 -1.437 14.496
6.908 -2.420 9.923
6.879 -2.420 12.894
9.440 -1.694 11.893
```

Calculated values
ΔH_f (0 K) = -2801 meV/atom
final energy = -4.943 eV/atom
crystal system = monoclinic

- Look up the final energy of the third one.
  -4.943 eV/atom

- The highest final energy belongs to which entry?
  Ba2Fe2CuF14